# Rb3Ta5O14 GGA-PBE optimized geometry
data_Rb3Ta5O14
_chemical_formula_sum 'Rb24 Ta40 O112'
_cell_length_a 7.4554
_cell_length_b 14.9344
_cell_length_c 25.6483
_cell_angle_alpha 90.00
_cell_angle_beta 90.00
_cell_angle_gamma 90.00
_space_group_name_H-M_alt 'P 1'
_space_group_IT_number 1
_space_group_name_Hall 'P 1'
loop_
_atom_site_label
_atom_site_type_symbol
_atom_site_fract_x
_atom_site_fract_y
_atom_site_fract_z
_atom_site_occupancy
Rb1 Rb 0.1231 0.2500 0.2060 1
Rb2 Rb 0.1295 0.5028 0.1181 1
Rb3 Rb 0.1295 0.9972 0.1181 1
Rb4 Rb 0.1516 0.7500 0.2075 1
Rb5 Rb 0.2276 0.5132 0.4806 1
Rb6 Rb 0.2276 0.9868 0.4806 1
Rb7 Rb 0.2724 0.0132 0.9806 1
Rb8 Rb 0.2724 0.4868 0.9806 1
Rb9 Rb 0.3484 0.2500 0.7075 1
Rb10 Rb 0.3705 0.0028 0.6181 1
Rb11 Rb 0.3705 0.4972 0.6181 1
Rb12 Rb 0.3769 0.7500 0.7060 1
Rb13 Rb 0.6231 0.2500 0.2940 1
Rb14 Rb 0.6295 0.5028 0.3819 1
Rb15 Rb 0.6295 0.9972 0.3819 1
Rb16 Rb 0.6516 0.7500 0.2925 1
Rb17 Rb 0.7276 0.5132 0.0194 1
Rb18 Rb 0.7276 0.9868 0.0194 1
Rb19 Rb 0.7724 0.0132 0.5194 1
Rb20 Rb 0.7724 0.4868 0.5194 1
Rb21 Rb 0.8484 0.2500 0.7925 1
Rb22 Rb 0.8705 0.0028 0.8819 1
Rb23 Rb 0.8705 0.4972 0.8819 1
Rb24 Rb 0.8769 0.7500 0.7940 1
Ta1 Ta 0.0649 0.7500 0.9436 1
Ta2 Ta 0.0832 0.7500 0.5614 1
Ta3 Ta 0.0899 0.2500 0.9447 1
Ta4 Ta 0.1071 0.2500 0.5550 1
Ta5 Ta 0.1291 0.6231 0.3470 1
Ta6 Ta 0.1291 0.8769 0.3470 1
Ta7 Ta 0.1297 0.1193 0.3564 1
Ta8 Ta 0.1297 0.3807 0.3564 1
Ta9 Ta 0.1426 0.5108 0.7444 1
Ta10 Ta 0.1426 0.9892 0.7444 1
Ta11 Ta 0.3574 0.0108 0.2444 1
Ta12 Ta 0.3574 0.4892 0.2444 1
Ta13 Ta 0.3703 0.6193 0.8564 1
Ta14 Ta 0.3703 0.8807 0.8564 1
Ta15 Ta 0.3709 0.1231 0.8470 1
Ta16 Ta 0.3709 0.3769 0.8470 1
Ta17 Ta 0.3929 0.7500 0.0550 1
Ta18 Ta 0.4101 0.7500 0.4447 1
Ta19 Ta 0.4168 0.2500 0.0614 1
Ta20 Ta 0.4351 0.2500 0.4436 1
Ta21 Ta 0.5649 0.7500 0.5564 1
Ta22 Ta 0.5832 0.7500 0.9386 1
Ta23 Ta 0.5899 0.2500 0.5553 1
Ta24 Ta 0.6071 0.2500 0.9450 1
Ta25 Ta 0.6291 0.6231 0.1530 1
Ta26 Ta 0.6291 0.8769 0.1530 1
Ta27 Ta 0.6297 0.1193 0.1436 1
Ta28 Ta 0.6297 0.3807 0.1436 1
Ta29 Ta 0.6426 0.5108 0.7556 1
Ta30 Ta 0.6426 0.9892 0.7556 1
Ta31 Ta 0.8574 0.0108 0.2556 1
Ta32 Ta 0.8574 0.4892 0.2556 1
Ta33 Ta 0.8703 0.6193 0.6436 1
Ta34 Ta 0.8703 0.8807 0.6436 1
Ta35 Ta 0.8709 0.1231 0.6530 1
Ta36 Ta 0.8709 0.3769 0.6530 1
Ta37 Ta 0.8929 0.7500 0.4450 1
Ta38 Ta 0.9101 0.7500 0.0553 1
Ta39 Ta 0.9168 0.2500 0.4386 1
Ta40 Ta 0.9351 0.2500 0.0564 1
O1 O 0.0125 0.1619 0.0008 1
O2 O 0.0125 0.3381 0.0008 1
O3 O 0.0346 0.6252 0.5754 1
O4 O 0.0346 0.8748 0.5754 1
O5 O 0.0442 0.1418 0.5860 1
O6 O 0.0442 0.3582 0.5860 1
O7 O 0.0508 0.2500 0.3624 1
O8 O 0.0809 0.5984 0.6903 1
O9 O 0.0809 0.9016 0.6903 1
O10 O 0.0834 0.0843 0.6924 1
O11 O 0.0834 0.4157 0.6924 1
O12 O 0.0918 0.7500 0.3293 1
O13 O 0.0984 0.0111 0.2250 1
O14 O 0.0984 0.4889 0.2250 1
O15 O 0.1495 0.7500 0.4860 1
O16 O 0.1523 0.5018 0.3775 1
O17 O 0.1523 0.9982 0.3775 1
O18 O 0.1526 0.7500 0.0841 1
O19 O 0.1563 0.6540 0.8999 1
O20 O 0.1563 0.8460 0.8999 1
O21 O 0.1760 0.2500 0.0879 1
O22 O 0.1763 0.2500 0.4814 1
O23 O 0.1773 0.1559 0.8996 1
O24 O 0.1773 0.3441 0.8996 1
O25 O 0.2055 0.0942 0.7934 1
O26 O 0.2055 0.4058 0.7934 1
O27 O 0.2138 0.6088 0.7963 1
O28 O 0.2138 0.8912 0.7963 1
O29 O 0.2862 0.1088 0.2963 1
O30 O 0.2862 0.3912 0.2963 1
O31 O 0.2945 0.5942 0.2934 1
O32 O 0.2945 0.9058 0.2934 1
O33 O 0.3227 0.6559 0.3996 1
O34 O 0.3227 0.8441 0.3996 1
O35 O 0.3240 0.7500 0.5879 1
O36 O 0.3237 0.7500 0.9814 1
O37 O 0.3437 0.1540 0.3999 1
O38 O 0.3437 0.3460 0.3999 1
O39 O 0.3474 0.2500 0.5841 1
O40 O 0.3477 0.0018 0.8775 1
O41 O 0.3477 0.4982 0.8775 1
O42 O 0.3505 0.2500 0.9860 1
O43 O 0.4016 0.5111 0.7250 1
O44 O 0.4016 0.9889 0.7250 1
O45 O 0.4082 0.2500 0.8293 1
O46 O 0.4166 0.5843 0.1924 1
O47 O 0.4166 0.9157 0.1924 1
O48 O 0.4191 0.0984 0.1903 1
O49 O 0.4191 0.4016 0.1903 1
O50 O 0.4492 0.7500 0.8624 1
O51 O 0.4558 0.6418 0.0860 1
O52 O 0.4558 0.8582 0.0860 1
O53 O 0.4654 0.1252 0.0754 1
O54 O 0.4654 0.3748 0.0754 1
O55 O 0.4875 0.6619 0.5008 1
O56 O 0.4875 0.8381 0.5008 1
O57 O 0.5125 0.1619 0.4992 1
O58 O 0.5125 0.3381 0.4992 1
O59 O 0.5346 0.6252 0.9246 1
O60 O 0.5346 0.8748 0.9246 1
O61 O 0.5442 0.1418 0.9140 1
O62 O 0.5442 0.3582 0.9140 1
O63 O 0.5508 0.2500 0.1376 1
O64 O 0.5809 0.5984 0.8097 1
O65 O 0.5809 0.9016 0.8097 1
O66 O 0.5834 0.0843 0.8076 1
O67 O 0.5834 0.4157 0.8076 1
O68 O 0.5918 0.7500 0.1707 1
O69 O 0.5984 0.0111 0.2750 1
O70 O 0.5984 0.4889 0.2750 1
O71 O 0.6495 0.7500 0.0140 1
O72 O 0.6523 0.5018 0.1225 1
O73 O 0.6523 0.9982 0.1225 1
O74 O 0.6526 0.7500 0.4159 1
O75 O 0.6563 0.6540 0.6001 1
O76 O 0.6563 0.8460 0.6001 1
O77 O 0.6763 0.2500 0.0186 1
O78 O 0.6760 0.2500 0.4121 1
O79 O 0.6773 0.1559 0.6004 1
O80 O 0.6773 0.3441 0.6004 1
O81 O 0.7055 0.0942 0.7066 1
O82 O 0.7055 0.4058 0.7066 1
O83 O 0.7138 0.6088 0.7037 1
O84 O 0.7138 0.8912 0.7037 1
O85 O 0.7862 0.1088 0.2037 1
O86 O 0.7862 0.3912 0.2037 1
O87 O 0.7945 0.5942 0.2066 1
O88 O 0.7945 0.9058 0.2066 1
O89 O 0.8227 0.6559 0.1004 1
O90 O 0.8227 0.8441 0.1004 1
O91 O 0.8237 0.7500 0.5186 1
O92 O 0.8240 0.7500 0.9121 1
O93 O 0.8437 0.1540 0.1001 1
O94 O 0.8437 0.3460 0.1001 1
O95 O 0.8474 0.2500 0.9159 1
O96 O 0.8477 0.0018 0.6225 1
O97 O 0.8477 0.4982 0.6225 1
O98 O 0.8505 0.2500 0.5140 1
O99 O 0.9016 0.5111 0.7750 1
O100 O 0.9016 0.9889 0.7750 1
O101 O 0.9082 0.2500 0.6707 1
O102 O 0.9166 0.5843 0.3076 1
O103 O 0.9166 0.9157 0.3076 1
O104 O 0.9191 0.0984 0.3097 1
O105 O 0.9191 0.4016 0.3097 1
O106 O 0.9492 0.7500 0.6376 1
O107 O 0.9558 0.6418 0.4140 1
O108 O 0.9558 0.8582 0.4140 1
O109 O 0.9654 0.1252 0.4246 1
O110 O 0.9654 0.3748 0.4246 1
O111 O 0.9875 0.6619 0.9992 1
O112 O 0.9875 0.8381 0.9992 1
# mass density	6.443	Mg/m³
# energy relative to the elements	-69.59	eV/f.u.